[1]
# SrC4S4O4 | the Materials Project database | GGA-PBE | optimized geometry
# Total moment: 4.0 μB/cell
# Electronic total energy: -5.934 eV/atom
# Crystal system: orthorhombic
data_SrC4S4O4
_chemical_formula_sum 'Sr4 C16 S16 O16'
_cell_length_a 8.0239
_cell_length_b 11.3187
_cell_length_c 11.1485
_cell_angle_alpha 90.00
_cell_angle_beta 90.00
_cell_angle_gamma 90.00
_space_group_name_H-M_alt 'P n m a'
_space_group_IT_number 62
_space_group_name_Hall '-P 2ac 2n'
loop_
_atom_site_label
_atom_site_type_symbol
_atom_site_fract_x
_atom_site_fract_y
_atom_site_fract_z
Sr1 Sr 0.1754 0.2500 0.2373
C1 C 0.0432 0.6872 0.4022
C2 C 0.0619 0.6849 0.2711
S1 S 0.0415 0.6028 0.5304
S2 S 0.0927 0.5848 0.1652
O1 O 0.0593 0.7500 0.6088
O2 O 0.0860 0.7500 0.8889
O3 O 0.1049 0.0357 0.2247

=====

[2]
# Ba3Pr | the Materials Project database | GGA-PBE | optimized geometry
# Total moment: 2.1 μB/cell
# Electronic total energy: -2.463 eV/atom
# Crystal system: hexagonal
data_Ba3Pr
_chemical_formula_sum 'Ba6 Pr2'
_cell_length_a 8.5435
_cell_length_b 8.5435
_cell_length_c 6.7530
_cell_angle_alpha 90.00
_cell_angle_beta 90.00
_cell_angle_gamma 120.00
_space_group_name_H-M_alt 'P 63/m m c'
_space_group_IT_number 194
_space_group_name_Hall '-P 6c 2c'
loop_
_atom_site_label
_atom_site_type_symbol
_atom_site_fract_x
_atom_site_fract_y
_atom_site_fract_z
Ba1 Ba 0.1720 0.3439 0.2500
Pr1 Pr 0.3333 0.6667 0.7500